{
  "formula": "Mg3Mn2Si4O14",
  "functional": "PBE with a Hubbard U",
  "state": "optimized geometry",
  "space_group": "C2/c, No. 15",
  "total_energy_ev_per_atom": -7.30,
  "volume_a3_per_cell": 536.0,
  "delta_e_f_ev_per_atom": -2.9063,
  "magmom_total_mub_per_cell": 16.0,
  "lattice_angstrom": [[3.824, 8.538, 0.000], [-3.824, 8.538, 0.000], [0.000, 5.622, 8.208]],
  "species": ["O", "Si", "O", "O", "Si", "Si", "Mn", "O", "Si", "O", "Si", "O", "Si", "O", "Mg", "Mg", "O", "O", "Si", "O", "O", "O", "O", "Mn", "O", "Mg", "Mn", "Mn", "O", "Mg", "O", "Si", "Mg", "O", "O", "O", "O", "O", "O", "O", "Mg", "O", "O", "O", "O", "O"],
  "fractional_positions": [[0.317, 0.829, 0.819], [0.249, 0.513, 0.606], [0.171, 0.683, 0.681], [0.008, 0.769, 0.193], [0.487, 0.751, 0.894], [0.751, 0.487, 0.394], [0.000, 0.000, 0.500], [0.992, 0.231, 0.807], [0.080, 0.548, 0.205], [0.457, 0.634, 0.087], [0.513, 0.249, 0.106], [0.366, 0.543, 0.413], [0.452, 0.920, 0.295], [0.500, 0.927, 0.876], [0.737, 0.926, 0.389], [0.263, 0.074, 0.611], [0.306, 0.385, 0.230], [0.032, 0.112, 0.587], [0.548, 0.080, 0.705], [0.073, 0.500, 0.624], [0.829, 0.317, 0.319], [0.481, 0.919, 0.441], [0.888, 0.968, 0.913], [0.000, 0.000, 0.000], [0.694, 0.615, 0.770], [0.074, 0.263, 0.111], [0.787, 0.213, 0.750], [0.213, 0.787, 0.250], [0.543, 0.366, 0.913], [0.391, 0.609, 0.750], [0.112, 0.032, 0.087], [0.920, 0.452, 0.795], [0.926, 0.737, 0.889], [0.385, 0.306, 0.730], [0.968, 0.888, 0.413], [0.634, 0.457, 0.587], [0.231, 0.992, 0.307], [0.081, 0.519, 0.059], [0.519, 0.081, 0.559], [0.615, 0.694, 0.270], [0.609, 0.391, 0.250], [0.500, 0.073, 0.124], [0.919, 0.481, 0.941], [0.927, 0.500, 0.376], [0.683, 0.171, 0.181], [0.769, 0.008, 0.693]]
}

=====

{
  "formula": "Rb2LiMoF6",
  "functional": "PBE with a Hubbard U",
  "state": "optimized geometry",
  "space_group": "Fm-3m, No. 225",
  "total_energy_ev_per_atom": -5.01,
  "volume_a3_per_cell": 153.6,
  "delta_e_f_ev_per_atom": -2.9888,
  "magmom_total_mub_per_cell": 3.0,
  "lattice_angstrom": [[-0.838, -4.866, -3.429], [-3.172, -4.652, 2.107], [-5.446, -1.190, -2.250]],
  "species": ["Rb", "Mo", "Li", "F", "F", "F", "Rb", "F", "F", "F"],
  "fractional_positions": [[0.250, 0.250, 0.250], [0.000, 0.000, 0.000], [0.500, 0.500, 0.500], [0.246, 0.246, 0.754], [0.246, 0.754, 0.246], [0.754, 0.246, 0.754], [0.750, 0.750, 0.750], [0.754, 0.754, 0.246], [0.246, 0.754, 0.754], [0.754, 0.246, 0.246]]
}

=====

{
  "formula": "Li4Ni3BiO8",
  "functional": "PBE with a Hubbard U",
  "state": "optimized geometry",
  "space_group": "Cc, No. 9",
  "e_above_lowest_polymorph_ev_per_atom": 0.000,
  "total_energy_ev_per_atom": -5.07,
  "volume_a3_per_cell": 316.2,
  "delta_e_f_ev_per_atom": -1.6153,
  "magmom_total_mub_per_cell": 10.0,
  "lattice_angstrom": [[-0.420, -0.999, 5.956], [9.365, 2.378, 4.174], [-0.486, 5.650, -2.120]],
  "species": ["O", "O", "Bi", "O", "Bi", "O", "O", "O", "O", "Li", "Li", "O", "O", "Ni", "Ni", "O", "Li", "Li", "Li", "Li", "O", "Ni", "O", "Li", "O", "O", "Ni", "Ni", "Li", "O", "O", "Ni"],
  "fractional_positions": [[0.763, 0.872, 0.869], [0.761, 0.862, 0.412], [0.004, 0.000, 0.004], [0.751, 0.125, 0.123], [0.996, 0.500, 0.496], [0.253, 0.122, 0.134], [0.725, 0.362, 0.877], [0.259, 0.372, 0.866], [0.249, 0.375, 0.376], [0.500, 0.750, 0.750], [0.500, 0.250, 0.250], [0.249, 0.875, 0.877], [0.274, 0.138, 0.623], [0.000, 0.250, 0.250], [0.500, 0.750, 0.250], [0.255, 0.878, 0.375], [0.991, 0.987, 0.493], [0.000, 0.250, 0.751], [0.999, 0.750, 0.250], [0.520, 0.487, 0.522], [0.744, 0.622, 0.125], [0.500, 0.250, 0.750], [0.239, 0.638, 0.088], [0.481, 0.013, 0.979], [0.751, 0.625, 0.623], [0.237, 0.628, 0.630], [0.497, 0.501, 0.998], [0.502, 0.000, 0.502], [0.009, 0.513, 0.007], [0.742, 0.128, 0.635], [0.748, 0.378, 0.367], [0.000, 0.750, 0.750]]
}